Density functional theory data (GGA-PBE) for a geometry-optimized Cs3PuH4O7 structure.

Structure (POSCAR):
```
Cs3PuH4O7
1.0
6.9612 0.0000 0.0000
0.0000 12.0531 0.0000
-6.8618 0.0000 12.5520
Cs Pu H O
12 4 16 28
direct
0.0190 0.2210 0.2453
0.0190 0.2790 0.7453
0.2560 0.6205 0.0509
0.2560 0.8795 0.5509
0.4579 0.5371 0.6347
0.4579 0.9629 0.1347
0.5421 0.0371 0.8653
0.5421 0.4629 0.3653
0.7440 0.1205 0.4491
0.7440 0.3795 0.9491
0.9810 0.7210 0.2547
0.9810 0.7790 0.7547
0.3823 0.2063 0.5931
0.3823 0.2937 0.0931
0.6177 0.7063 0.9069
0.6177 0.7937 0.4069
0.0453 0.1287 0.0492
0.0453 0.3713 0.5492
0.0703 0.0799 0.9174
0.0703 0.4201 0.4174
0.0832 0.5453 0.7044
0.0832 0.9547 0.2044
0.3175 0.5300 0.8651
0.3175 0.9700 0.3651
0.6825 0.0300 0.6349
0.6825 0.4700 0.1349
0.9168 0.0453 0.7956
0.9168 0.4547 0.2956
0.9297 0.5799 0.5826
0.9297 0.9201 0.0826
0.9547 0.6287 0.4508
0.9547 0.8713 0.9508
0.0525 0.0217 0.8625
0.0525 0.4783 0.3625
0.0814 0.1717 0.0022
0.0814 0.3283 0.5022
0.2147 0.1183 0.6387
0.2147 0.3817 0.1387
0.2786 0.1169 0.4679
0.2786 0.3831 0.9679
0.3143 0.5858 0.8151
0.3143 0.9142 0.3151
0.4515 0.7060 0.4521
0.4515 0.7940 0.9521
0.4883 0.2076 0.2204
0.4883 0.2924 0.7204
0.5117 0.7076 0.2796
0.5117 0.7924 0.7796
0.5485 0.2060 0.0479
0.5485 0.2940 0.5479
0.6857 0.0858 0.6849
0.6857 0.4142 0.1849
0.7214 0.6169 0.0321
0.7214 0.8831 0.5321
0.7853 0.6183 0.8613
0.7853 0.8817 0.3613
0.9186 0.6717 0.4978
0.9186 0.8283 0.9978
0.9475 0.5217 0.6375
0.9475 0.9783 0.1375
```

Calculated values
Energy of formation = -2.044 eV per atom
Total magnetic moment = 4.0 Bohr magnetons per cell

---

Density functional theory data (GGA-PBE) for a geometry-optimized Na2HfSi2SnSO12 structure.

Structure (POSCAR):
```
Na2HfSi2SnSO12
1.0
8.9980 0.0000 0.0000
4.4976 7.7991 0.0000
0.0735 0.0852 23.0174
Na Hf Si Sn S O
12 6 12 6 6 72
direct
0.0000 0.0000 0.0000
0.0011 0.9998 0.5009
0.0313 0.6527 0.0857
0.3190 0.6985 0.9186
0.3321 0.3340 0.6669
0.3342 0.3333 0.1675
0.3642 0.9870 0.7528
0.6531 0.0308 0.5855
0.6663 0.6684 0.3342
0.6679 0.6675 0.8338
0.6976 0.3201 0.4196
0.9867 0.3640 0.2526
0.3093 0.3296 0.0194
0.6432 0.6632 0.6865
0.6582 0.6604 0.9802
0.6629 0.6425 0.1866
0.9766 0.9967 0.3537
0.9920 0.9912 0.1478
0.0306 0.6146 0.9151
0.0344 0.3266 0.4167
0.2785 0.6964 0.7498
0.3209 0.0362 0.9142
0.3613 0.9480 0.5828
0.3662 0.6571 0.0822
0.6117 0.0294 0.4167
0.6567 0.3675 0.5818
0.6932 0.2806 0.2505
0.7017 0.9929 0.7497
0.9470 0.3625 0.0829
0.9924 0.6982 0.2501
0.3243 0.3267 0.3150
0.3280 0.3257 0.8143
0.3318 0.3090 0.5193
0.6601 0.6589 0.4816
0.9913 0.9940 0.6478
0.9984 0.9759 0.8523
0.2834 0.9891 0.2503
0.3224 0.6179 0.4174
0.6192 0.3217 0.9172
0.6556 0.9501 0.0837
0.9524 0.6550 0.5836
0.9888 0.2847 0.7506
0.0141 0.1555 0.4103
0.0207 0.8035 0.9133
0.0217 0.7825 0.1910
0.0240 0.1753 0.6983
0.1117 0.3608 0.3565
0.1226 0.4968 0.8584
0.1252 0.5032 0.5772
0.1356 0.3514 0.0776
0.1459 0.0184 0.9098
0.1491 0.2952 0.7551
0.1500 0.3009 0.4743
0.1540 0.5327 0.9728
0.1583 0.4999 0.2551
0.1614 0.7884 0.6929
0.1699 0.8212 0.0888
0.1711 0.9690 0.5895
0.1731 0.7895 0.4099
0.1738 0.0187 0.1983
0.2048 0.9635 0.3027
0.2118 0.8192 0.8080
0.2930 0.1498 0.2540
0.2925 0.5415 0.4701
0.3004 0.1528 0.9706
0.3014 0.5058 0.7559
0.3476 0.4850 0.0765
0.3526 0.1363 0.5802
0.3572 0.1136 0.8545
0.3576 0.5088 0.3651
0.4517 0.6868 0.0235
0.4534 0.8312 0.5258
0.4556 0.8399 0.2429
0.4682 0.6830 0.7435
0.4819 0.3493 0.5768
0.4827 0.6284 0.4220
0.4843 0.6378 0.1385
0.4842 0.8398 0.9214
0.4856 0.8661 0.6401
0.4950 0.1209 0.3596
0.5028 0.1578 0.7549
0.5036 0.3015 0.2565
0.5069 0.1220 0.0759
0.5116 0.3587 0.8641
0.5389 0.2955 0.9687
0.5445 0.1528 0.4747
0.6294 0.8714 0.1359
0.6316 0.4809 0.9229
0.6341 0.8390 0.4231
0.6358 0.4850 0.6379
0.6808 0.8220 0.7432
0.6828 0.4686 0.2447
0.6871 0.8410 0.0316
0.6912 0.4451 0.5218
0.7794 0.0273 0.6896
0.7919 0.1707 0.9104
0.7925 0.1628 0.1945
0.8011 0.0164 0.4104
0.8155 0.9610 0.0889
0.8164 0.9676 0.8075
0.8177 0.2012 0.3078
0.8212 0.1688 0.5881
0.8208 0.6789 0.2439
0.8285 0.4634 0.0272
0.8353 0.4915 0.4219
0.8393 0.4561 0.7430
0.8413 0.6371 0.9226
0.8450 0.6897 0.5307
0.8675 0.4861 0.1406
0.8720 0.6293 0.6355
0.9590 0.2085 0.8033
0.9637 0.8148 0.5882
0.9696 0.1737 0.0901
0.9730 0.8168 0.3059
```

Calculated values
Energy of formation = -2.715 eV per atom
Total magnetic moment = 0.0 Bohr magnetons per cell

---

Density functional theory data (GGA-PBE) for a geometry-optimized Al6Fe structure.

Structure (POSCAR):
```
Al6Fe
1.0
3.7150 -3.2201 0.0000
3.7150 3.2201 0.0000
0.0000 0.0000 8.8162
Al Fe
12 2
direct
0.0285 0.6078 0.2500
0.1459 0.8541 0.5979
0.1459 0.8541 0.9021
0.3226 0.3226 0.0000
0.3226 0.3226 0.5000
0.3922 0.9715 0.2500
0.6078 0.0285 0.7500
0.6774 0.6774 0.0000
0.6774 0.6774 0.5000
0.8541 0.1459 0.0979
0.8541 0.1459 0.4021
0.9715 0.3922 0.7500
0.4601 0.5399 0.7500
0.5399 0.4601 0.2500
```

Calculated values
Energy of formation = -0.196 eV per atom

---

Density functional theory data (GGA-PBE) for a geometry-optimized SmAu structure.

Structure (POSCAR):
```
SmAu
1.0
3.6793 0.0000 0.0000
0.0000 3.6793 0.0000
0.0000 0.0000 3.6793
Sm Au
1 1
direct
0.0000 0.0000 0.0000
0.5000 0.5000 0.5000
```

Calculated values
Energy of formation = -0.789 eV per atom

---

Density functional theory data (GGA-PBE) for a geometry-optimized Na2ScNb3Si2P4O24 structure.

Structure (POSCAR):
```
Na2ScNb3Si2P4O24
1.0
8.8421 0.0000 0.0000
-4.4183 7.6616 0.0000
-0.0240 -0.0247 22.9580
Na Sc Nb Si P O
6 3 9 6 12 72
direct
0.0000 0.0000 0.0000
0.9999 0.0007 0.5026
0.3337 0.6673 0.8318
0.3339 0.6690 0.3361
0.6681 0.3339 0.6669
0.6679 0.3354 0.1655
0.3336 0.6708 0.4794
0.9982 0.9961 0.1464
0.9987 0.0030 0.6471
0.0018 0.0056 0.8539
0.0041 0.9969 0.3541
0.3301 0.6642 0.6864
0.3311 0.6677 0.1870
0.3339 0.6670 0.9760
0.6617 0.3295 0.5217
0.6671 0.3322 0.3127
0.6669 0.3347 0.0181
0.6696 0.3339 0.8122
0.3787 0.0409 0.4161
0.3792 0.3324 0.9151
0.6682 0.0470 0.9157
0.9541 0.6239 0.9156
0.9979 0.7106 0.2479
0.9991 0.2886 0.7480
0.0450 0.3776 0.0820
0.0452 0.6700 0.5813
0.2882 0.2879 0.2488
0.2888 0.0013 0.7487
0.3301 0.3776 0.5812
0.3330 0.9561 0.0820
0.6223 0.6680 0.0824
0.6234 0.9531 0.5819
0.6648 0.6202 0.4161
0.7121 0.7123 0.7487
0.7135 0.0009 0.2489
0.9553 0.3344 0.4162
0.0207 0.8266 0.5899
0.0267 0.1992 0.0883
0.0311 0.8345 0.3065
0.0318 0.2000 0.8065
0.1325 0.6370 0.6370
0.1351 0.4932 0.4208
0.1353 0.4975 0.1369
0.1455 0.6420 0.9257
0.1543 0.6936 0.5282
0.1606 0.4707 0.0286
0.1734 0.6893 0.2407
0.1732 0.9757 0.0879
0.1736 0.2054 0.3041
0.1741 0.4863 0.7409
0.1751 0.9687 0.8041
0.1763 0.1943 0.5894
0.1869 0.1611 0.9084
0.1880 0.0324 0.4073
0.2113 0.0320 0.6944
0.2122 0.1798 0.1947
0.3073 0.4615 0.5277
0.3095 0.8400 0.0285
0.3115 0.4747 0.2416
0.3117 0.8372 0.7416
0.3558 0.8520 0.4202
0.3574 0.5032 0.9257
0.3622 0.8657 0.1368
0.3645 0.4965 0.6370
0.4697 0.3028 0.9735
0.4727 0.1621 0.7579
0.4733 0.1728 0.4723
0.4738 0.3133 0.2589
0.4966 0.8550 0.9255
0.4994 0.1434 0.3594
0.5012 0.1373 0.0765
0.5009 0.3676 0.8588
0.5026 0.3643 0.5753
0.5040 0.6385 0.1369
0.5053 0.6399 0.4208
0.5054 0.8708 0.6370
0.5263 0.6923 0.7416
0.5271 0.8365 0.2414
0.5297 0.6905 0.0285
0.5395 0.8467 0.5279
0.6328 0.1346 0.8591
0.6367 0.5003 0.0761
0.6406 0.1406 0.5747
0.6443 0.5073 0.3614
0.6859 0.5270 0.7578
0.6872 0.1611 0.2585
0.6984 0.1681 0.9735
0.7004 0.5368 0.4701
0.7953 0.8254 0.8040
0.7961 0.9714 0.3042
0.8012 0.8294 0.0874
0.8062 0.9797 0.5888
0.8214 0.0354 0.1946
0.8213 0.7877 0.6945
0.8307 0.3155 0.7580
0.8311 0.5162 0.2596
0.8314 0.8042 0.4072
0.8329 0.5307 0.9734
0.8363 0.3037 0.4700
0.8372 0.0227 0.9079
0.8612 0.4999 0.5748
0.8644 0.3589 0.3614
0.8637 0.3649 0.0764
0.8659 0.4992 0.8592
0.9651 0.1730 0.6916
0.9649 0.7934 0.1918
0.9676 0.1667 0.4070
0.9765 0.8150 0.9076
```

Calculated values
Energy of formation = -3.004 eV per atom
Total magnetic moment = 0.0 Bohr magnetons per cell

---

Density functional theory data (GGA-PBE) for a geometry-optimized KHoO2 structure.

Structure (POSCAR):
```
KHoO2
1.0
1.7306 0.9992 6.2545
-1.7306 0.9992 6.2545
0.0000 -1.9983 6.2545
K Ho O
1 1 2
direct
0.0000 0.0000 0.0000
0.5000 0.5000 0.5000
0.2281 0.2281 0.2281
0.7719 0.7719 0.7719
```

Calculated values
Energy of formation = -3.128 eV per atom

---

Density functional theory data (GGA-PBE) for a geometry-optimized Ba2Mg3Ti4Tl2O12 structure.

Structure (POSCAR):
```
Ba2Mg3Ti4Tl2O12
1.0
-1.9411 1.9411 22.7221
1.9411 -1.9411 22.7221
1.9411 1.9411 -22.7221
Ba Mg Ti Tl O
2 3 4 2 12
direct
0.1725 0.1725 0.0000
0.8275 0.8275 0.0000
0.0000 0.0000 0.0000
0.0785 0.0785 0.0000
0.9215 0.9215 0.0000
0.3903 0.3903 0.0000
0.4705 0.4705 0.0000
0.5295 0.5295 0.0000
0.6097 0.6097 0.0000
0.2756 0.2756 0.0000
0.7244 0.7244 0.0000
0.0313 0.5313 0.5000
0.0974 0.5974 0.5000
0.2259 0.2259 0.0000
0.3508 0.3508 0.0000
0.4026 0.9026 0.5000
0.4687 0.9687 0.5000
0.5313 0.0313 0.5000
0.5974 0.0974 0.5000
0.6492 0.6492 0.0000
0.7741 0.7741 0.0000
0.9026 0.4026 0.5000
0.9687 0.4687 0.5000
```

Calculated values
Energy of formation = -2.623 eV per atom
Total magnetic moment = 0.8 Bohr magnetons per cell

---

Density functional theory data (GGA-PBE) for a geometry-optimized CaUO4 structure.

Structure (POSCAR):
```
CaUO4
1.0
3.0593 -2.1260 0.0000
3.0593 2.1260 0.0000
-2.7570 0.0000 5.5566
Ca U O
1 1 4
direct
0.0000 0.0000 0.0000
0.0000 0.0000 0.5000
0.2497 0.2497 0.8381
0.2742 0.2742 0.3976
0.7258 0.7258 0.6024
0.7503 0.7503 0.1619
```

Calculated values
Energy of formation = -3.400 eV per atom
Total magnetic moment = 0.0 Bohr magnetons per cell

---

Density functional theory data (GGA-PBE) for a geometry-optimized Li2MgCd structure.

Structure (POSCAR):
```
Li2MgCd
1.0
0.0000 3.4027 3.4027
3.4027 0.0000 3.4027
3.4027 3.4027 0.0000
Li Mg Cd
2 1 1
direct
0.0000 0.0000 0.0000
0.2500 0.2500 0.2500
0.5000 0.5000 0.5000
0.7500 0.7500 0.7500
```

Calculated values
Energy of formation = -0.183 eV per atom
Energy relative to the lowest polymorph listed for this composition = 0 meV/atom

---

| no. | DFT total energy (eV per atom) |
| --- | --- |
| 1 | -6.07 |
| 2 | -7.07 |
| 3 | -4.62 |
| 4 | -4.79 |
| 5 | -7.84 |
| 6 | -6.68 |
| 7 | -6.80 |
| 8 | -8.46 |
| 9 | -1.77 |